Entry 1:
Below is a relaxed GeMoAs crystal, with properties calculated at the PBE-GGA level.

Cell and atoms, written as POSCAR:
```
GeMoAs
1.0
-4.5810 -0.1155 -1.8387
-4.1143 -2.7274 0.1203
-5.7713 2.3863 4.5567
Ge Mo As
2 2 2
direct
0.3961 0.3961 0.8968
0.6039 0.6039 0.1032
0.1545 0.1545 0.7987
0.8455 0.8455 0.2013
0.8545 0.8545 0.5363
0.1455 0.1455 0.4637
```

Computed properties:
total magnetization = 0.00 μB/f.u.
VASP energy = -6.88 eV per atom
SG = C2/m
formation energy from the elements = -0.1732 eV per atom

Entry 2:
Below is a relaxed GdB4Ru crystal, with properties calculated at the PBE-GGA level.

Cell and atoms, written as POSCAR:
```
GdB4Ru
1.0
3.5781 0.0000 0.0000
0.0000 5.9837 0.0000
0.0000 0.0000 11.5714
Gd B Ru
4 16 4
direct
0.0000 0.6297 0.3504
0.0000 0.3703 0.6496
0.0000 0.1297 0.1496
0.0000 0.8703 0.8504
0.5000 0.7891 0.1851
0.5000 0.2109 0.8149
0.5000 0.2891 0.3149
0.5000 0.7109 0.6851
0.5000 0.8630 0.0307
0.5000 0.1370 0.9693
0.5000 0.3630 0.4693
0.5000 0.6370 0.5307
0.5000 0.8889 0.4535
0.5000 0.1111 0.5465
0.5000 0.3889 0.0465
0.5000 0.6111 0.9535
0.5000 0.9781 0.3088
0.5000 0.0219 0.6912
0.5000 0.4781 0.1912
0.5000 0.5219 0.8088
0.0000 0.6403 0.0923
0.0000 0.3597 0.9077
0.0000 0.1403 0.4077
0.0000 0.8597 0.5923
```

Computed properties:
total magnetization = 6.95 μB/f.u.
VASP energy = -8.95 eV per atom
SG = Pbam
formation energy from the elements = -0.6092 eV per atom

Entry 3:
Below is a relaxed Rb2TlAgI6 crystal, with properties calculated at the PBE-GGA level.

Cell and atoms, written as POSCAR:
```
Rb2TlAgI6
1.0
-3.4452 3.7299 6.8662
-1.9097 8.3217 -0.1683
-8.1625 2.5055 -0.1462
Rb Tl Ag I
2 1 1 6
direct
0.7500 0.7500 0.7500
0.2500 0.2500 0.2500
0.0000 0.0000 0.0000
0.5000 0.5000 0.5000
0.7445 0.2555 0.2555
0.2555 0.2555 0.7445
0.2555 0.7445 0.7445
0.2555 0.7445 0.2555
0.7445 0.2555 0.7445
0.7445 0.7445 0.2555
```

Computed properties:
total magnetization = 0.00 μB/f.u.
VASP energy = -2.37 eV per atom
SG = Fm-3m
formation energy from the elements = -0.9657 eV per atom
MP2020-corrected energy = -0.095 Ha/atom

Entry 4:
Below is a relaxed Sc6ReO12 crystal, with properties calculated at the PBE-GGA level.

Cell and atoms, written as POSCAR:
```
Sc6ReO12
1.0
3.8264 2.1118 -4.3078
3.2147 -4.8896 1.8481
-4.0770 -2.8225 -3.6153
Sc Re O
6 1 12
direct
0.8557 0.3917 0.6711
0.6711 0.8557 0.3917
0.3917 0.6711 0.8557
0.1443 0.6083 0.3289
0.3289 0.1443 0.6083
0.6083 0.3289 0.1443
0.0000 0.0000 0.0000
0.5868 0.1778 0.4180
0.4180 0.5868 0.1778
0.1778 0.4180 0.5868
0.4132 0.8222 0.5820
0.5820 0.4132 0.8222
0.8222 0.5820 0.4132
0.0445 0.6960 0.9020
0.3040 0.0980 0.9555
0.0980 0.9555 0.3040
0.9555 0.3040 0.0980
0.6960 0.9020 0.0445
0.9020 0.0445 0.6960
```

Computed properties:
total magnetization = 1.00 μB/f.u.
VASP energy = -8.89 eV per atom
SG = R-3
formation energy from the elements = -3.5455 eV per atom
offset from the most stable computed form = 0.00 eV/f.u.
MP2020-corrected energy = -0.343 Ha/atom

Entry 5:
Below is a relaxed AsS3Cl3F6 crystal, with properties calculated at the PBE-GGA level.

Cell and atoms, written as POSCAR:
```
AsS3Cl3F6
1.0
7.8299 0.0000 0.0000
-3.6906 -7.6067 0.0000
-3.8941 0.0574 -9.5878
As S Cl F
2 6 6 12
direct
0.7886 0.7456 0.7506
0.2114 0.2544 0.2494
0.5414 0.2220 0.0213
0.3469 0.8431 0.0821
0.0991 0.3256 0.6074
0.9009 0.6744 0.3926
0.4586 0.7780 0.9787
0.6531 0.1569 0.9179
0.1789 0.7178 0.5191
0.5006 0.8432 0.2934
0.8211 0.2822 0.4809
0.1001 0.3439 0.7968
0.4994 0.1568 0.7066
0.8999 0.6561 0.2032
0.6974 0.8666 0.6053
0.5348 0.6099 0.7427
0.0412 0.8811 0.7596
0.2282 0.4006 0.3641
0.4652 0.3901 0.2573
0.9588 0.1189 0.2404
0.7718 0.5994 0.6359
0.8767 0.6228 0.8963
0.1954 0.1087 0.1348
0.1233 0.3772 0.1037
0.3026 0.1334 0.3947
0.8046 0.8913 0.8652
```

Computed properties:
VASP energy = -3.78 eV per atom
SG = P-1
formation energy from the elements = -1.3689 eV per atom
MP2020-corrected energy = -0.147 Ha/atom

Entry 6:
Below is a relaxed KMg14Zn crystal, with properties calculated at the PBE-GGA level.

Cell and atoms, written as POSCAR:
```
KMg14Zn
1.0
6.5026 0.0154 0.0000
-3.2380 5.6083 0.0000
0.0000 0.0000 10.5260
K Mg Zn
1 14 1
direct
0.1639 0.8319 0.1250
0.1642 0.3321 0.6250
0.1674 0.8337 0.6250
0.6591 0.3381 0.1250
0.6657 0.3304 0.6250
0.6591 0.8210 0.1250
0.6657 0.8352 0.6250
0.3355 0.1768 0.3847
0.3355 0.1768 0.8653
0.3355 0.6587 0.3847
0.3355 0.6587 0.8653
0.8385 0.1693 0.3651
0.8385 0.1693 0.8849
0.8240 0.6620 0.3886
0.8240 0.6620 0.8614
0.1878 0.3439 0.1250
```

Computed properties:
total magnetization = 0.00 μB/f.u.
VASP energy = -1.45 eV per atom
SG = Amm2
formation energy from the elements = 0.0941 eV per atom
offset from the most stable computed form = 0.00 eV/f.u.

Entry 7:
Below is a relaxed Er2CoGe6 crystal, with properties calculated at the PBE-GGA level.

Cell and atoms, written as POSCAR:
```
Er2CoGe6
1.0
-1.8811 -2.4146 2.5493
-1.0277 -2.4357 -3.0653
9.9767 -4.3601 0.1197
Er Co Ge
2 1 6
direct
0.7721 0.5000 0.5442
0.1087 0.5000 0.2174
0.5500 0.0000 0.0999
0.4946 0.5000 0.9893
0.3774 0.5000 0.7548
0.9939 0.0000 0.9879
0.8758 0.0000 0.7515
0.6564 0.0000 0.3127
0.2313 0.0000 0.4627
```

Computed properties:
total magnetization = 0.00 μB/f.u.
VASP energy = -5.35 eV per atom
SG = Amm2
formation energy from the elements = -0.4608 eV per atom

Entry 8:
Below is a relaxed Pr3RuBr3 crystal, with properties calculated at the PBE-GGA level.

Cell and atoms, written as POSCAR:
```
Pr3RuBr3
1.0
4.2532 0.0000 0.0000
0.0000 9.1169 0.0000
0.0000 0.6219 12.2428
Pr Ru Br
6 2 6
direct
0.2500 0.3197 0.3787
0.7500 0.6803 0.6213
0.2500 0.8977 0.3871
0.7500 0.1023 0.6129
0.2500 0.8798 0.8395
0.7500 0.1202 0.1605
0.2500 0.8875 0.6228
0.7500 0.1125 0.3772
0.2500 0.3943 0.6266
0.7500 0.6057 0.3734
0.2500 0.8860 0.1150
0.7500 0.1140 0.8850
0.2500 0.3538 0.1258
0.7500 0.6462 0.8742
```

Computed properties:
VASP energy = -5.33 eV per atom
SG = P2_1/m
formation energy from the elements = -1.4837 eV per atom
MP2020-corrected energy = -0.204 Ha/atom

Entry 9:
Below is a relaxed Ti11CuP8 crystal, with properties calculated at the PBE-GGA level.

Cell and atoms, written as POSCAR:
```
Ti11CuP8
1.0
3.4285 0.0000 0.0000
0.0000 9.4216 0.0000
0.0000 0.0000 18.4698
Ti Cu P
22 2 16
direct
0.5000 0.2707 0.3026
0.5000 0.7293 0.6974
0.5000 0.2293 0.8026
0.5000 0.7707 0.1974
0.0000 0.1880 0.4315
0.0000 0.8120 0.5685
0.0000 0.3120 0.9315
0.0000 0.6880 0.0685
0.0000 0.3556 0.0877
0.0000 0.6444 0.9123
0.0000 0.1444 0.5877
0.0000 0.8556 0.4123
0.5000 0.1019 0.1439
0.5000 0.8981 0.8561
0.5000 0.3981 0.6439
0.5000 0.6019 0.3561
0.0000 0.0089 0.2705
0.0000 0.9911 0.7295
0.0000 0.4911 0.7705
0.0000 0.5089 0.2295
0.0000 0.0000 0.0000
0.0000 0.5000 0.5000
0.5000 0.0000 0.5000
0.5000 0.5000 0.0000
0.0000 0.2474 0.2070
0.0000 0.7526 0.7930
0.0000 0.2526 0.7070
0.0000 0.7474 0.2930
0.5000 0.0394 0.3682
0.5000 0.9606 0.6318
0.5000 0.4606 0.8682
0.5000 0.5394 0.1318
0.5000 0.2071 0.0193
0.5000 0.7929 0.9807
0.5000 0.2929 0.5193
0.5000 0.7071 0.4807
0.0000 0.4162 0.3680
0.0000 0.5838 0.6320
0.0000 0.0838 0.8680
0.0000 0.9162 0.1320
```

Computed properties:
VASP energy = -7.82 eV per atom
SG = Pbam
formation energy from the elements = -1.1069 eV per atom

Entry 10:
Below is a relaxed Ba3Ag2 crystal, with properties calculated at the PBE-GGA level.

Cell and atoms, written as POSCAR:
```
Ba3Ag2
1.0
-6.3023 4.3121 4.6509
-6.7452 -5.7277 1.2811
0.5111 -2.8607 8.4558
Ba Ag
9 6
direct
0.5000 0.5000 0.5000
0.2938 0.2938 0.2938
0.7062 0.7062 0.7062
0.8325 0.3347 0.1145
0.3347 0.1145 0.8325
0.1145 0.8325 0.3347
0.1675 0.6653 0.8855
0.6653 0.8855 0.1675
0.8855 0.1675 0.6653
0.4630 0.6344 0.0902
0.6344 0.0902 0.4630
0.0902 0.4630 0.6344
0.5370 0.3656 0.9098
0.3656 0.9098 0.5370
0.9098 0.5370 0.3656
```

Computed properties:
VASP energy = -2.51 eV per atom
SG = R-3
formation energy from the elements = -0.2290 eV per atom

Entry 11:
Below is a relaxed Hf2Co3Si4 crystal, with properties calculated at the PBE-GGA level.

Cell and atoms, written as POSCAR:
```
Hf2Co3Si4
1.0
-1.5065 -2.0489 4.5455
6.4211 -0.1558 2.0580
-1.3655 12.5674 5.2122
Hf Co Si
8 12 16
direct
0.2298 0.4005 0.1451
0.7298 0.0995 0.1451
0.2702 0.0995 0.6451
0.7702 0.4005 0.6451
0.2298 0.5995 0.3549
0.7298 0.9005 0.3549
0.2702 0.9005 0.8549
0.7702 0.5995 0.8549
0.9939 0.2768 0.9806
0.5061 0.2232 0.4806
0.7768 0.0000 0.7500
0.4939 0.2232 0.9806
0.7232 0.5000 0.2500
0.4939 0.7768 0.5194
0.0061 0.2768 0.4806
0.0061 0.7232 0.0194
0.2232 0.0000 0.2500
0.2768 0.5000 0.7500
0.5061 0.7768 0.0194
0.9939 0.7232 0.5194
0.2158 0.0197 0.0686
0.7158 0.5197 0.4314
0.7842 0.0197 0.5686
0.4788 0.7538 0.1881
0.0212 0.2538 0.8119
0.5212 0.2462 0.8119
0.2158 0.9803 0.4314
0.2842 0.5197 0.9314
0.9788 0.7462 0.1881
0.7158 0.4803 0.0686
0.2842 0.4803 0.5686
0.4788 0.2462 0.3119
0.0212 0.7462 0.6881
0.7842 0.9803 0.9314
0.5212 0.7538 0.6881
0.9788 0.2538 0.3119
```

Computed properties:
VASP energy = -7.77 eV per atom
SG = Pbcn
formation energy from the elements = -0.7418 eV per atom
MP2020-corrected energy = -0.284 Ha/atom

Entry 12:
Below is a relaxed Ba2LaIrO6 crystal, with properties calculated at the PBE-GGA level.

Cell and atoms, written as POSCAR:
```
Ba2LaIrO6
1.0
0.0000 4.3273 4.3273
4.3273 0.0000 4.3273
4.3273 4.3273 0.0000
Ba La Ir O
2 1 1 6
direct
0.7500 0.7500 0.7500
0.2500 0.2500 0.2500
0.0000 0.0000 0.0000
0.5000 0.5000 0.5000
0.7293 0.7293 0.2707
0.2707 0.7293 0.2707
0.7293 0.2707 0.2707
0.2707 0.2707 0.7293
0.7293 0.2707 0.7293
0.2707 0.7293 0.7293
```

Computed properties:
total magnetization = 2.00 μB/f.u.
VASP energy = -7.03 eV per atom
SG = Fm-3m
formation energy from the elements = -2.7095 eV per atom
offset from the most stable computed form = 0.02 eV/f.u.
MP2020-corrected energy = -0.273 Ha/atom

Entry 13:
Below is a relaxed Ba2NdTlCu2O7 crystal, with properties calculated at the PBE-GGA level.

Cell and atoms, written as POSCAR:
```
Ba2NdTlCu2O7
1.0
3.9290 0.0000 0.0000
0.0000 3.9482 0.0000
0.0000 0.0000 12.8817
Ba Nd Tl Cu O
2 1 1 2 7
direct
0.5000 0.4962 0.7949
0.5000 0.4962 0.2051
0.5000 0.4999 0.5000
0.0000 0.9316 0.0000
0.0000 0.9999 0.6359
0.0000 0.9999 0.3641
0.5000 0.9986 0.6192
0.0000 0.5000 0.6198
0.5000 0.9986 0.3808
0.0000 0.5000 0.3802
0.0000 0.0078 0.8335
0.0000 0.0078 0.1665
0.5000 0.6116 0.0000
```

Computed properties:
total magnetization = 0.00 μB/f.u.
VASP energy = -5.95 eV per atom
SG = Pmm2
formation energy from the elements = -2.1811 eV per atom
MP2020-corrected energy = -0.232 Ha/atom

Entry 14:
Below is a relaxed RbPrTiNbO6F crystal, with properties calculated at the PBE-GGA level.

Cell and atoms, written as POSCAR:
```
RbPrTiNbO6F
1.0
3.8631 0.0000 0.0000
0.0000 3.9010 0.0000
0.0000 0.0000 11.2825
Rb Pr Ti Nb O F
1 1 1 1 6 1
direct
0.5000 0.5000 0.5045
0.5000 0.5000 0.9997
0.0000 0.0000 0.7949
0.0000 0.0000 0.2043
0.0000 0.0000 0.6440
0.0000 0.0000 0.3644
0.5000 0.0000 0.8353
0.5000 0.0000 0.1634
0.0000 0.5000 0.1607
0.0000 0.0000 0.9968
0.0000 0.5000 0.8320
```

Computed properties:
total magnetization = 0.00 μB/f.u.
VASP energy = -7.88 eV per atom
SG = Pmm2
formation energy from the elements = -3.2598 eV per atom
MP2020-corrected energy = -0.305 Ha/atom

Entry 15:
Below is a relaxed LiSbSe2 crystal, with properties calculated at the PBE-GGA level.

Cell and atoms, written as POSCAR:
```
LiSbSe2
1.0
-1.6582 3.6336 -0.8372
-1.9994 -0.0931 3.5563
4.3064 2.5384 2.4876
Li Sb Se
1 1 2
direct
0.0000 0.0000 0.0000
0.5000 0.5000 0.5000
0.0000 0.0000 0.5000
0.5000 0.5000 0.0000
```

Computed properties:
total magnetization = 0.00 μB/f.u.
VASP energy = -3.85 eV per atom
SG = P4/mmm
formation energy from the elements = -0.8287 eV per atom
MP2020-corrected energy = -0.150 Ha/atom